Record 1
VASP calculation (r²SCAN) on crystalline YB7Mo3 at its relaxed geometry.

a b c (Å): 3.099 11.008 12.869
angles (deg): 90.00 90.00 90.00
Atoms (fractional coordinates):
B: 0.750 0.230 0.082
B: 0.250 0.814 0.433
Mo: 0.250 0.184 0.202
B: 0.250 0.314 0.067
Mo: 0.250 0.660 0.064
B: 0.250 0.489 0.363
B: 0.250 0.770 0.918
B: 0.250 0.432 0.616
B: 0.250 0.989 0.137
B: 0.750 0.511 0.637
B: 0.750 0.011 0.863
B: 0.750 0.068 0.116
Y: 0.750 0.449 0.192
B: 0.750 0.749 0.173
B: 0.250 0.751 0.673
Mo: 0.750 0.816 0.798
B: 0.250 0.932 0.884
B: 0.250 0.462 0.018
B: 0.750 0.166 0.833
Mo: 0.750 0.316 0.702
B: 0.250 0.251 0.827
B: 0.250 0.270 0.582
Mo: 0.750 0.382 0.473
B: 0.750 0.038 0.518
B: 0.750 0.249 0.327
Mo: 0.750 0.840 0.564
Y: 0.250 0.551 0.808
Mo: 0.750 0.340 0.936
Mo: 0.250 0.618 0.527
B: 0.750 0.186 0.567
Mo: 0.250 0.118 0.973
B: 0.250 0.962 0.482
Mo: 0.250 0.160 0.436
B: 0.250 0.834 0.167
B: 0.750 0.730 0.418
Y: 0.250 0.051 0.692
B: 0.750 0.538 0.982
B: 0.750 0.568 0.384
Mo: 0.250 0.684 0.298
B: 0.250 0.334 0.333
B: 0.750 0.686 0.933
B: 0.750 0.666 0.667
Y: 0.750 0.949 0.308
Mo: 0.750 0.882 0.027

Calculated values
The space-group type is Pnma. The calculation puts the total magnetic moment at 0.0 μB/cell. The formation enthalpy at 0 K comes out at -0.59 eV/atom.


Record 2
VASP calculation (r²SCAN) on crystalline BN at its relaxed geometry.

a b c (Å): 2.512 2.512 7.707
angles (deg): 90.00 90.00 120.00
Atoms (fractional coordinates):
N: 0.667 0.333 0.250
B: 0.333 0.667 0.250
N: 0.333 0.667 0.750
B: 0.667 0.333 0.750

Calculated values
The space-group type is P6_3/mmc. The calculation puts the total magnetic moment at 0.0 μB/cell. The energy above the most stable polymorph in this dataset is 5.7 meV per atom. The formation enthalpy at 0 K comes out at -1.41 eV/atom.